First-principles (PBE-GGA) data for a geometry-optimized KBaSiHO4 structure, as listed in the Materials Project.

formation enthalpy at 0 K	-2.71	eV/atom
calculated volume	15.908	Å³/atom
corrected total energy (MP2020 scheme)	-106.7	eV per cell
total DFT energy (no corrections)	-6.326	eV/atom

The structure in CIF format:
```
data_KBaSiHO4
_space_group_name_H-M_alt 'P 1 21 1'
_space_group_IT_number 4
_space_group_name_Hall 'P 2yb'
_cell_length_a 5.883
_cell_length_b 8.132
_cell_length_c 6.044
_cell_angle_alpha 90.00
_cell_angle_beta 118.32
_cell_angle_gamma 90.00
loop_
_atom_site_label
_atom_site_fract_x
_atom_site_fract_y
_atom_site_fract_z
_atom_site_occupancy
K1 0.130 0.000 0.297 1
Ba1 0.486 0.252 0.993 1
Si1 0.201 0.515 0.379 1
H1 0.013 0.279 0.461 1
O1 0.002 0.671 0.317 1
O2 0.012 0.339 0.313 1
O3 0.337 0.508 0.198 1
O4 0.406 0.506 0.680 1
```

***

First-principles (PBE-GGA) data for a geometry-optimized Hf5Ge3 structure, as listed in the Materials Project.

formation enthalpy at 0 K	-0.68	eV/atom
calculated volume	19.254	Å³/atom
total DFT energy (no corrections)	-8.635	eV/atom

The structure in CIF format:
```
data_Hf5Ge3
_space_group_name_H-M_alt 'P 63/m c m'
_space_group_IT_number 193
_space_group_name_Hall '-P 6c 2'
_cell_length_a 7.9934
_cell_length_b 7.9934
_cell_length_c 5.5673
_cell_angle_alpha 90.00
_cell_angle_beta 90.00
_cell_angle_gamma 120.00
loop_
_atom_site_label
_atom_site_fract_x
_atom_site_fract_y
_atom_site_fract_z
_atom_site_occupancy
Hf1 0.0000 0.2525 0.2500 1
Hf2 0.3333 0.6667 0.0000 1
Ge1 0.0000 0.3897 0.7500 1
```

***

First-principles (PBE-GGA) data for a geometry-optimized MgHg3 structure, as listed in the Materials Project.

formation enthalpy at 0 K	-0.07	eV/atom
calculated volume	24.326	Å³/atom
total DFT energy (no corrections)	-0.694	eV/atom

The structure in CIF format:
```
data_MgHg3
_space_group_name_H-M_alt 'P m -3 m'
_space_group_IT_number 221
_space_group_name_Hall '-P 4 2 3'
_cell_length_a 4.599
_cell_length_b 4.599
_cell_length_c 4.599
_cell_angle_alpha 90.00
_cell_angle_beta 90.00
_cell_angle_gamma 90.00
loop_
_atom_site_label
_atom_site_fract_x
_atom_site_fract_y
_atom_site_fract_z
_atom_site_occupancy
Mg1 0.000 0.000 0.000 1
Hg1 0.000 0.500 0.500 1
```

***

First-principles (PBE-GGA) data for a geometry-optimized Si2HgTe structure, as listed in the Materials Project.

formation enthalpy at 0 K	0.53	eV/atom
calculated volume	21.859	Å³/atom
corrected total energy (MP2020 scheme)	-48.7	eV per cell
total DFT energy (no corrections)	-2.939	eV/atom

The structure in CIF format:
```
data_Si2HgTe
_space_group_name_H-M_alt 'F m -3 m'
_space_group_IT_number 225
_space_group_name_Hall '-F 4 2 3'
_cell_length_a 7.046
_cell_length_b 7.046
_cell_length_c 7.046
_cell_angle_alpha 90.00
_cell_angle_beta 90.00
_cell_angle_gamma 90.00
loop_
_atom_site_label
_atom_site_fract_x
_atom_site_fract_y
_atom_site_fract_z
_atom_site_occupancy
Si1 0.250 0.250 0.250 1
Hg1 0.000 0.000 0.000 1
Te1 0.000 0.000 0.500 1
```